## KLiHo2Mo4O16 (GGA+U)

Data for KLiHo2Mo4O16 after structural relaxation.

a = 6.8973 Å, b = 6.8973 Å, c = 19.6320 Å
α = 91.20°, β = 91.20°, γ = 135.11°
Last column: nearest neighbours and their distance in Å.
Fractional coordinates of all 48 atoms:
K (0.0311, 0.9689, 0.7500)  4 O 2.68-2.71
K (0.9689, 0.0311, 0.2500)  4 O 2.68-2.71
Li (0.3136, 0.6864, 0.7500)  4 O 2.03-2.09
Li (0.6864, 0.3136, 0.2500)  4 O 2.03-2.09
Ho (0.1470, 0.8522, 0.5326)  8 O 2.29-2.48
Ho (0.1478, 0.8530, 0.9674)  8 O 2.29-2.48
Ho (0.8522, 0.1470, 0.0326)  8 O 2.29-2.48
Ho (0.8530, 0.1478, 0.4674)  8 O 2.29-2.48
Mo (0.2471, 0.7315, 0.3525)  4 O 1.77-1.88
Mo (0.2685, 0.7529, 0.1475)  4 O 1.77-1.88
Mo (0.4184, 0.5431, 0.9087)  4 O 1.77-1.87
Mo (0.4569, 0.5816, 0.5913)  4 O 1.77-1.87
Mo (0.5431, 0.4184, 0.4087)  4 O 1.77-1.87
Mo (0.5816, 0.4569, 0.0913)  4 O 1.77-1.87
Mo (0.7315, 0.2471, 0.8525)  4 O 1.77-1.88
Mo (0.7529, 0.2685, 0.6475)  4 O 1.77-1.88
O (0.0099, 0.7318, 0.1731)  1 Mo 1.77
O (0.0616, 0.5813, 0.4337)  1 Mo 1.88
O (0.0651, 0.4714, 0.2862)  1 Mo 1.77
O (0.0987, 0.4003, 0.1315)  1 Mo 1.82
O (0.1651, 0.5057, 0.9580)  1 Mo 1.87
O (0.2200, 0.3122, 0.3989)  1 Mo 1.79
O (0.2207, 0.2598, 0.5369)  1 Mo 1.85
O (0.2598, 0.2207, 0.0369)  1 Mo 1.85
O (0.2682, 0.9901, 0.3269)  1 Mo 1.77
O (0.3002, 0.4829, 0.6704)  1 Mo 1.77
O (0.3122, 0.2200, 0.8989)  1 Mo 1.79
O (0.4003, 0.0987, 0.6315)  1 Mo 1.82
O (0.4187, 0.9384, 0.0663)  1 Mo 1.88
O (0.4714, 0.0651, 0.7862)  1 Mo 1.77
O (0.4829, 0.3002, 0.1704)  1 Mo 1.77
O (0.4943, 0.8349, 0.5420)  1 Mo 1.87
O (0.5057, 0.1651, 0.4580)  1 Mo 1.87
O (0.5171, 0.6998, 0.8296)  1 Mo 1.77
O (0.5286, 0.9349, 0.2138)  1 Mo 1.77
O (0.5813, 0.0616, 0.9337)  1 Mo 1.88
O (0.5997, 0.9013, 0.3685)  1 Mo 1.82
O (0.6878, 0.7800, 0.1011)  1 Mo 1.79
O (0.6998, 0.5171, 0.3296)  1 Mo 1.77
O (0.7318, 0.0099, 0.6731)  1 Mo 1.77
O (0.7402, 0.7793, 0.9631)  1 Mo 1.85
O (0.7793, 0.7402, 0.4631)  1 Mo 1.85
O (0.7800, 0.6878, 0.6011)  1 Mo 1.79
O (0.8349, 0.4943, 0.0420)  1 Mo 1.87
O (0.9013, 0.5997, 0.8685)  1 Mo 1.82
O (0.9349, 0.5286, 0.7138)  1 Mo 1.77
O (0.9384, 0.4187, 0.5663)  1 Mo 1.88
O (0.9901, 0.2682, 0.8269)  1 Mo 1.77

* calculated total energy: -7.1515 eV/atom
* symmetry: C2/c
* crystal system: monoclinic
* energy relative to the elements: -2.53 eV per atom